Record 1
DFT (r²SCAN) results for an optimized crystal structure of YFeCo.

Cell lengths 5.111, 5.111, 5.111 Å; angles 87.09, 61.83, 118.49 degrees
Element x y z (fractional)
Fe1 0.250 0.875 0.375
Fe2 0.750 0.375 0.375
Co1 0.750 0.375 0.875
Co2 0.250 0.375 0.375
Y1 0.500 0.746 0.754
Y2 0.000 0.004 0.996

Uncorrected energy   -16.061 eV/atom
ΔE_f   -74 meV/atom

---

Record 2
DFT (r²SCAN) results for an optimized crystal structure of TiMn2W.

Cell lengths 4.194, 4.194, 4.194 Å; angles 60.00, 60.00, 60.00 degrees
Element x y z (fractional)
Mn1 0.750 0.750 0.750
Mn2 0.250 0.250 0.250
Ti1 0.500 0.500 0.500
W1 0.000 0.000 0.000

Uncorrected energy   -23.553 eV/atom
ΔE_f   -135 meV/atom

---

Record 3
DFT (r²SCAN) results for an optimized crystal structure of ErTeAs.

Cell lengths 4.035, 7.475, 9.849 Å; angles 90.00, 90.00, 90.00 degrees
Element x y z (fractional)
As1 0.750 0.403 0.460
As2 0.750 0.903 0.040
As3 0.250 0.097 0.960
As4 0.250 0.597 0.540
Er1 0.750 0.768 0.341
Er2 0.250 0.232 0.659
Er3 0.250 0.732 0.841
Er4 0.750 0.268 0.159
Te1 0.250 0.084 0.351
Te2 0.250 0.584 0.149
Te3 0.750 0.916 0.649
Te4 0.750 0.416 0.851

Uncorrected energy   -25.996 eV/atom
ΔE_f   -1313 meV/atom

---

> Which of these has the lowest uncorrected energy?

ErTeAs

---

> What is the uncorrected energy in the first record?

-16.061 eV/atom

---

Repeat the third record exactly.
DFT (r²SCAN) results for an optimized crystal structure of ErTeAs.

Cell lengths 4.035, 7.475, 9.849 Å; angles 90.00, 90.00, 90.00 degrees
Element x y z (fractional)
As1 0.750 0.403 0.460
As2 0.750 0.903 0.040
As3 0.250 0.097 0.960
As4 0.250 0.597 0.540
Er1 0.750 0.768 0.341
Er2 0.250 0.232 0.659
Er3 0.250 0.732 0.841
Er4 0.750 0.268 0.159
Te1 0.250 0.084 0.351
Te2 0.250 0.584 0.149
Te3 0.750 0.916 0.649
Te4 0.750 0.416 0.851

Uncorrected energy   -25.996 eV/atom
ΔE_f   -1313 meV/atom

---

> Number 2 is which compound?

TiMn2W